# As3H9RhC3Br3O3, relaxed, DFT PBE
# Formation energy from the elements = -568.4 meV per atom
data_As3H9RhC3Br3O3
_chemical_formula_sum 'As12 H36 Rh4 C12 Br12 O12'
_symmetry_space_group_name_H-M 'P 1 21/c 1'
_symmetry_Int_Tables_number 14
_cell_length_a 9.345
_cell_length_b 9.235
_cell_length_c 17.286
_cell_angle_alpha 90.00
_cell_angle_beta 112.68
_cell_angle_gamma 90.00
loop_
_symmetry_equiv_pos_as_xyz
'x,y,z'
'-x,-y,-z'
'-x,y+1/2,-z+1/2'
'x,-y+1/2,z+1/2'
loop_
_atom_site_label
_atom_site_fract_x
_atom_site_fract_y
_atom_site_fract_z
As1 0.050 0.080 0.380
As2 0.121 0.716 0.975
As3 0.228 0.144 0.570
H1 0.001 0.100 0.228
H2 0.090 0.237 0.784
H3 0.135 0.523 0.437
H4 0.207 0.102 0.292
H5 0.263 0.634 0.405
H6 0.318 0.585 0.514
H7 0.373 0.128 0.131
H8 0.474 0.215 0.689
H9 0.483 0.246 0.089
Rh1 0.196 0.599 0.108
C1 0.092 0.144 0.284
C2 0.221 0.610 0.456
C3 0.412 0.239 0.127
Br1 0.189 0.641 0.658
Br2 0.293 0.012 0.755
Br3 0.465 0.628 0.104
O1 0.080 0.229 0.072
O2 0.129 0.602 0.891
O3 0.208 0.171 0.463